No. 1
Material: Na4CaSiGeP2O12
Method: DFT, PBE
State: relaxed

Output
Total magnetic moment   0.00 μB/f.u.
Calculated formation energy   -2.60 eV/atom
Crystal system   monoclinic

abc: 9.2196 9.1809 21.8650
angles: 90.70 90.00 120.14
Element x y z (fractional)
O (0.8709, 0.5304, 0.7446)
O (0.6595, 0.5304, 0.2446)
O (0.3178, 0.8623, 0.5764)
P (0.9555, 0.3155, 0.5845)
O (0.4622, 0.3328, 0.7431)
O (0.1335, 0.4654, 0.5775)
P (0.0190, 0.7098, 0.7507)
O (0.7093, 0.5290, 0.5253)
O (0.7871, 0.8285, 0.1937)
P (0.6908, 0.7098, 0.2507)
O (0.8834, 0.5397, 0.1479)
O (0.6260, 0.1630, 0.4247)
O (0.4928, 0.8739, 0.3602)
P (0.3558, 0.0440, 0.5839)
O (0.8022, 0.7975, 0.9116)
O (0.1224, 0.6263, 0.3596)
Na (0.3239, 0.6639, 0.1651)
O (0.8867, 0.3395, 0.6436)
Na (0.3668, 0.3526, 0.2504)
Si (0.6282, 0.9780, 0.4209)
O (0.7956, 0.9556, 0.6927)
P (0.0319, 0.3824, 0.9163)
O (0.9593, 0.1440, 0.5855)
O (0.4531, 0.1096, 0.6428)
O (0.1203, 0.6713, 0.4757)
O (0.6565, 0.1096, 0.1427)
O (0.7841, 0.7817, 0.3100)
O (0.8707, 0.3328, 0.2431)
Na (0.6570, 0.3258, 0.3322)
Na (0.0086, 0.0030, 0.9982)
Na (0.3266, 0.0303, 0.4102)
O (0.8582, 0.3796, 0.9173)
P (0.2843, 0.3028, 0.7499)
O (0.9977, 0.7817, 0.8100)
O (0.2860, 0.4769, 0.7520)
O (0.4558, 0.2922, 0.0273)
Na (0.6561, 0.9613, 0.5782)
O (0.1299, 0.5017, 0.8593)
Na (0.6390, 0.6305, 0.7430)
Si (0.3498, 0.9780, 0.9209)
O (0.8170, 0.0143, 0.4133)
P (0.6230, 0.6489, 0.9170)
Na (0.7002, 0.6827, 0.4164)
Ge (0.6665, 0.3325, 0.4833)
O (0.2232, 0.0155, 0.3150)
O (0.5039, 0.6263, 0.8596)
O (0.7923, 0.0155, 0.8150)
Ge (0.6660, 0.3325, 0.9833)
O (0.2172, 0.2084, 0.8087)
Si (0.9570, 0.6363, 0.0865)
O (0.3266, 0.4512, 0.4759)
O (0.1846, 0.0470, 0.5860)
Na (0.3678, 0.0112, 0.7472)
Ca (0.3357, 0.6699, 0.5165)
Ca (0.3342, 0.6699, 0.0165)
Na (0.6688, 0.3258, 0.8322)
Ca (0.6646, 0.3301, 0.1831)
Ca (0.9995, 0.9996, 0.3497)
Ge (0.0049, 0.9888, 0.1494)
O (0.0414, 0.8285, 0.6937)
O (0.0021, 0.2033, 0.9103)
O (0.5595, 0.8764, 0.4819)
Ge (0.3369, 0.6830, 0.3162)
O (0.5214, 0.3796, 0.4173)
O (0.3319, 0.4654, 0.0775)
P (0.6882, 0.0440, 0.0839)
Na (0.0365, 0.3486, 0.0826)
O (0.9578, 0.8222, 0.0877)
O (0.8364, 0.2922, 0.5273)
O (0.1909, 0.4769, 0.2520)
Na (0.9825, 0.6827, 0.9164)
O (0.8623, 0.0470, 0.0860)
Na (0.9914, 0.6305, 0.2430)
O (0.8644, 0.8222, 0.5877)
Na (0.3052, 0.9613, 0.0782)
Na (0.3121, 0.3486, 0.5826)
Na (0.3400, 0.6639, 0.6651)
O (0.5370, 0.1630, 0.9247)
Na (0.3230, 0.3010, 0.9138)
O (0.4529, 0.3395, 0.1436)
O (0.1973, 0.0143, 0.9133)
Na (0.9858, 0.3526, 0.7504)
O (0.3811, 0.8739, 0.8602)
O (0.8197, 0.5290, 0.0253)
P (0.0259, 0.6489, 0.4170)
O (0.0413, 0.2037, 0.1925)
P (0.3601, 0.3155, 0.0845)
O (0.5222, 0.6665, 0.5811)
O (0.1245, 0.4512, 0.9759)
Si (0.6793, 0.6363, 0.5865)
Si (0.2937, 0.9854, 0.2534)
Na (0.6583, 0.6884, 0.0792)
P (0.3505, 0.3824, 0.4163)
P (0.0184, 0.3028, 0.2499)
O (0.3718, 0.5017, 0.3593)
O (0.9912, 0.2084, 0.3087)
Na (0.9780, 0.3010, 0.4138)
Ca (0.0001, 0.9996, 0.8497)
O (0.5510, 0.6713, 0.9757)
O (0.4833, 0.1387, 0.2473)
Ge (0.3461, 0.6830, 0.8162)
O (0.3169, 0.8764, 0.9819)
Na (0.9943, 0.0030, 0.4982)
Na (0.6433, 0.0112, 0.2472)
Si (0.6916, 0.9854, 0.7534)
O (0.4542, 0.1637, 0.5276)
O (0.6554, 0.1387, 0.7473)
O (0.9953, 0.7975, 0.4116)
O (0.1623, 0.2037, 0.6925)
O (0.1847, 0.1440, 0.0855)
Na (0.7037, 0.0303, 0.9102)
O (0.5081, 0.7986, 0.7551)
Na (0.0302, 0.6884, 0.5792)
O (0.6255, 0.4770, 0.9173)
O (0.7094, 0.1637, 0.0276)
O (0.5444, 0.8623, 0.0764)
O (0.8516, 0.4770, 0.4173)
O (0.2905, 0.7986, 0.2551)
O (0.1442, 0.6665, 0.0811)
O (0.1906, 0.7068, 0.7517)
O (0.2012, 0.2033, 0.4103)
O (0.6563, 0.5397, 0.6479)
Ge (0.9839, 0.9888, 0.6494)
O (0.1600, 0.9556, 0.1927)
O (0.5162, 0.7068, 0.2517)
Ca (0.6655, 0.3301, 0.6831)

No. 2
Material: Na6CaSi2Ge3P4O24
Method: DFT, PBE
State: relaxed

Output
Total magnetic moment   0.00 μB/f.u.
Calculated formation energy   -2.57 eV/atom

abc: 15.3228 8.8186 8.8969
angles: 89.63 125.06 90.16
Element x y z (fractional)
O (0.1553, 0.4535, 0.2583)
Na (0.6824, 0.5761, 0.7866)
Na (0.7496, 0.7467, 0.4932)
P (0.3479, 0.8985, 0.7487)
O (0.0705, 0.0389, 0.9062)
O (0.5703, 0.3398, 0.7219)
Si (0.6521, 0.9027, 0.7449)
O (0.3593, 0.1314, 0.0686)
Na (0.3029, 0.4246, 0.2206)
O (0.5436, 0.8101, 0.5707)
P (0.6477, 0.1271, 0.2530)
P (0.9965, 0.0341, 0.2603)
O (0.0573, 0.9364, 0.4351)
Ge (0.8987, 0.2538, 0.4421)
O (0.9365, 0.3357, 0.9343)
O (0.5729, 0.6471, 0.2652)
O (0.0434, 0.6804, 0.0654)
O (0.9191, 0.8407, 0.7573)
Ca (0.6007, 0.7431, 0.0593)
Ge (0.3951, 0.2537, 0.9391)
Si (0.1521, 0.4027, 0.7449)
O (0.3604, 0.9090, 0.2681)
O (0.7403, 0.3494, 0.7163)
Ge (0.1037, 0.7472, 0.5567)
O (0.2449, 0.6955, 0.2622)
O (0.4320, 0.4341, 0.0838)
O (0.5705, 0.5389, 0.9062)
O (0.9320, 0.9341, 0.0838)
O (0.0729, 0.1471, 0.2652)
P (0.4965, 0.5341, 0.2603)
Si (0.3626, 0.0977, 0.2587)
Ge (0.6037, 0.2472, 0.5567)
O (0.6527, 0.8919, 0.9245)
P (0.1477, 0.6271, 0.2530)
O (0.8593, 0.6314, 0.0686)
Na (0.8029, 0.9246, 0.2206)
O (0.2713, 0.1798, 0.2609)
O (0.2531, 0.3124, 0.7640)
P (0.8479, 0.3985, 0.7487)
O (0.9761, 0.6546, 0.4369)
Na (0.5067, 0.0957, 0.7584)
Na (0.0067, 0.5957, 0.7584)
O (0.0703, 0.8398, 0.7219)
Ge (0.8951, 0.7537, 0.9391)
O (0.8626, 0.3594, 0.5924)
O (0.4205, 0.5491, 0.5620)
Ca (0.1007, 0.2431, 0.0593)
O (0.6553, 0.9535, 0.2583)
O (0.4075, 0.6264, 0.2589)
Na (0.2496, 0.2467, 0.4932)
O (0.4761, 0.1546, 0.4369)
Na (0.5010, 0.8874, 0.2405)
O (0.8494, 0.5771, 0.7530)
O (0.7713, 0.6798, 0.2609)
P (0.4937, 0.4476, 0.7379)
O (0.1483, 0.6785, 0.4166)
O (0.3626, 0.8594, 0.5924)
O (0.9075, 0.1264, 0.2589)
O (0.5434, 0.1804, 0.0654)
O (0.9205, 0.0491, 0.5620)
O (0.6483, 0.1785, 0.4166)
Na (0.7504, 0.2463, 0.9967)
O (0.4191, 0.3407, 0.7573)
Ge (0.3987, 0.7538, 0.4421)
O (0.1527, 0.3919, 0.9245)
O (0.0436, 0.3101, 0.5707)
O (0.8604, 0.4090, 0.2681)
Na (0.2504, 0.7463, 0.9967)
Na (0.0010, 0.3874, 0.2405)
O (0.7449, 0.1955, 0.2622)
O (0.3494, 0.0771, 0.7530)
O (0.4365, 0.8357, 0.9343)
O (0.7531, 0.8124, 0.7640)
O (0.1609, 0.5867, 0.7210)
Na (0.1824, 0.0761, 0.7866)
P (0.9937, 0.9476, 0.7379)
O (0.5573, 0.4364, 0.4351)
Si (0.8626, 0.5977, 0.2587)
O (0.6609, 0.0867, 0.7210)
O (0.2403, 0.8494, 0.7163)

No. 3
Material: Na2Ca5Ge3S12O48
Method: DFT, PBE
State: relaxed

Output
Total magnetic moment   0.00 μB/f.u.
Calculated formation energy   -2.17 eV/atom
Crystal system   triclinic

abc: 17.6911 8.8876 23.2137
angles: 90.26 89.88 120.20
Element x y z (fractional)
O (0.3082, 0.1092, 0.1358)
O (0.4074, 0.9574, 0.4062)
O (0.8151, 0.1135, 0.4262)
S (0.1544, 0.9504, 0.9145)
O (0.6589, 0.8403, 0.9802)
O (0.1624, 0.4773, 0.4775)
O (0.7603, 0.8348, 0.4773)
Ca (0.3425, 0.3449, 0.4865)
Na (0.8337, 0.3330, 0.8310)
O (0.3373, 0.1348, 0.4193)
Ca (0.8264, 0.3248, 0.1783)
Na (0.3346, 0.3341, 0.8278)
O (0.4292, 0.5352, 0.0346)
S (0.3071, 0.6765, 0.9248)
O (0.3995, 0.2854, 0.2427)
S (0.3619, 0.0086, 0.7446)
O (0.2407, 0.1890, 0.2310)
O (0.6691, 0.4610, 0.3624)
O (0.1012, 0.1570, 0.8125)
O (0.4079, 0.9965, 0.6900)
S (0.3193, 0.9555, 0.4126)
O (0.9071, 0.8528, 0.9089)
O (0.4418, 0.5014, 0.1399)
O (0.7385, 0.6475, 0.5704)
O (0.0689, 0.4757, 0.8666)
S (0.1523, 0.0221, 0.2400)
O (0.5025, 0.8198, 0.6906)
O (0.2611, 0.6702, 0.8727)
S (0.8082, 0.9425, 0.4226)
O (0.1695, 0.4866, 0.0814)
O (0.9203, 0.0469, 0.8121)
O (0.5185, 0.2094, 0.9263)
O (0.6693, 0.8562, 0.8726)
O (0.1818, 0.8413, 0.5667)
O (0.7309, 0.1741, 0.2589)
O (0.1692, 0.8681, 0.8657)
O (0.2299, 0.1244, 0.9220)
O (0.0669, 0.6619, 0.3682)
O (0.7285, 0.3256, 0.4198)
Ca (0.5009, 0.0004, 0.8578)
O (0.9057, 0.0046, 0.7053)
Ca (0.8423, 0.3390, 0.9860)
O (0.8541, 0.1732, 0.7563)
S (0.6434, 0.0166, 0.2581)
O (0.3388, 0.1319, 0.0313)
O (0.7280, 0.3743, 0.1284)
S (0.6810, 0.3522, 0.0742)
O (0.9390, 0.5124, 0.4260)
O (0.5895, 0.1850, 0.6899)
Ca (0.8251, 0.3227, 0.4862)
O (0.5832, 0.4796, 0.9762)
O (0.1648, 0.8735, 0.2430)
O (0.9591, 0.3756, 0.6300)
O (0.4114, 0.8409, 0.5945)
O (0.5109, 0.1826, 0.5940)
O (0.3539, 0.5130, 0.2432)
Ge (0.6797, 0.6728, 0.0122)
Ca (0.6709, 0.6635, 0.3061)
Ge (0.9978, 0.9985, 0.8513)
O (0.7806, 0.7126, 0.9692)
O (0.9968, 0.8067, 0.7053)
Ca (0.5026, 0.0051, 0.1450)
O (0.3999, 0.7950, 0.1992)
Ge (0.6617, 0.6682, 0.5195)
O (0.3959, 0.9959, 0.0898)
Ge (0.4998, 0.9989, 0.6493)
S (0.8230, 0.6404, 0.5758)
O (0.0898, 0.1764, 0.1013)
O (0.9087, 0.8202, 0.1890)
S (0.9914, 0.7112, 0.7568)
O (0.4173, 0.5410, 0.7393)
O (0.1706, 0.4808, 0.3706)
O (0.9407, 0.5903, 0.0311)
O (0.8341, 0.5368, 0.9217)
O (0.4862, 0.7948, 0.7972)
S (0.6658, 0.9453, 0.9239)
O (0.9151, 0.8018, 0.2956)
S (0.8354, 0.0120, 0.0831)
S (0.0258, 0.6689, 0.4219)
O (0.5757, 0.7057, 0.7445)
Na (0.0002, 0.9998, 0.5020)
S (0.4860, 0.6167, 0.0836)
Na (0.5024, 0.0060, 0.0013)
O (0.5976, 0.0465, 0.3117)
S (0.5243, 0.6841, 0.4147)
O (0.2597, 0.6934, 0.9806)
O (0.2238, 0.1234, 0.5247)
O (0.6797, 0.5221, 0.0674)
O (0.8348, 0.5595, 0.5243)
O (0.8960, 0.8208, 0.5798)
O (0.2322, 0.2899, 0.7576)
O (0.9575, 0.5448, 0.1329)
O (0.2572, 0.6785, 0.5706)
S (0.4849, 0.2768, 0.2504)
O (0.5188, 0.8500, 0.4100)
O (0.5677, 0.4721, 0.8701)
O (0.4962, 0.7899, 0.0913)
O (0.5811, 0.4914, 0.5703)
O (0.5901, 0.2065, 0.0772)
O (0.7795, 0.8592, 0.7644)
O (0.3533, 0.1643, 0.7400)
O (0.2739, 0.6650, 0.2596)
S (0.6698, 0.0082, 0.5843)
Ca (0.8389, 0.3396, 0.6793)
O (0.9421, 0.3299, 0.5265)
O (0.6477, 0.8601, 0.2654)
O (0.8950, 0.9584, 0.4255)
O (0.9774, 0.7962, 0.8121)
O (0.3941, 0.8326, 0.9287)
Ca (0.0003, 0.9991, 0.6436)
O (0.6021, 0.1782, 0.7966)
O (0.8539, 0.5441, 0.2393)
O (0.0903, 0.9714, 0.5778)
O (0.2427, 0.3731, 0.1405)
S (0.6555, 0.3588, 0.4140)
S (0.3222, 0.0244, 0.0816)
Ca (0.3276, 0.3286, 0.6771)
S (0.9937, 0.6564, 0.0828)
O (0.0826, 0.6847, 0.4742)
S (0.8628, 0.0167, 0.7568)
O (0.4401, 0.3677, 0.9278)
O (0.1205, 0.0575, 0.2935)
S (0.1796, 0.3336, 0.0895)
O (0.4386, 0.2865, 0.5313)
Na (0.3357, 0.3390, 0.3349)
Ca (0.6596, 0.6559, 0.8045)
Ge (0.0004, 0.0028, 0.1490)
O (0.2395, 0.8502, 0.0742)
O (0.5973, 0.0062, 0.2054)
O (0.0861, 0.5186, 0.5715)
Ge (0.4992, 0.9933, 0.3566)
O (0.7037, 0.1129, 0.5325)
S (0.3609, 0.6934, 0.2502)
O (0.6429, 0.4399, 0.4674)
O (0.6572, 0.8264, 0.5739)
O (0.4567, 0.3686, 0.6329)
O (0.7785, 0.7077, 0.2444)
S (0.8631, 0.7173, 0.2444)
O (0.2289, 0.0843, 0.6282)
O (0.0825, 0.6655, 0.0712)
O (0.8560, 0.1250, 0.0333)
S (0.8201, 0.6840, 0.9134)
O (0.7447, 0.1177, 0.9282)
Ca (0.3244, 0.3273, 0.9834)
S (0.4929, 0.3286, 0.5826)
O (0.0122, 0.2049, 0.5797)
O (0.2769, 0.8489, 0.7434)
Ca (0.1734, 0.6765, 0.8051)
O (0.1482, 0.4360, 0.7642)
O (0.0718, 0.9579, 0.9102)
S (0.5263, 0.3822, 0.9231)
Ca (0.1628, 0.6662, 0.3049)
Ca (0.0061, 0.0040, 0.3572)
O (0.7558, 0.8346, 0.0711)
O (0.0705, 0.7027, 0.7634)
S (0.6423, 0.2772, 0.7444)
O (0.3143, 0.5489, 0.6341)
O (0.0122, 0.8389, 0.0941)
O (0.8125, 0.5403, 0.6283)
O (0.3570, 0.5874, 0.5333)
O (0.5665, 0.6624, 0.3647)
O (0.7292, 0.2950, 0.7387)
O (0.7242, 0.3270, 0.0246)
O (0.1410, 0.8426, 0.9704)
O (0.0191, 0.8278, 0.4250)
O (0.6472, 0.4459, 0.7444)
O (0.8148, 0.0793, 0.1346)
O (0.5719, 0.6296, 0.0787)
O (0.5752, 0.7098, 0.4704)
O (0.9383, 0.3401, 0.9219)
O (0.3124, 0.5183, 0.9287)
O (0.9129, 0.9847, 0.0933)
O (0.4976, 0.2017, 0.1987)
S (0.1442, 0.2703, 0.7576)
O (0.9127, 0.5362, 0.7567)
O (0.4353, 0.5354, 0.4197)
Ge (0.1580, 0.6760, 0.0120)
S (0.3354, 0.6587, 0.5833)
S (0.1677, 0.3858, 0.4220)
O (0.5792, 0.9798, 0.5952)
O (0.0937, 0.9946, 0.1895)
O (0.5862, 0.9583, 0.9273)
O (0.0878, 0.2135, 0.4252)
O (0.7643, 0.6546, 0.8645)
O (0.9875, 0.1767, 0.2964)
O (0.2462, 0.3693, 0.4254)
O (0.0047, 0.1878, 0.1901)
S (0.9968, 0.3527, 0.5766)
O (0.7614, 0.8554, 0.3705)
S (0.4957, 0.7149, 0.7447)
Ge (0.3360, 0.3346, 0.1803)
O (0.0792, 0.4491, 0.9725)
Ge (0.1700, 0.6665, 0.5174)
S (0.0264, 0.3656, 0.9154)
O (0.9169, 0.2910, 0.2392)
O (0.5569, 0.4526, 0.2588)
O (0.4110, 0.0254, 0.7969)
O (0.2673, 0.8781, 0.3612)
O (0.7271, 0.0818, 0.6341)
O (0.0969, 0.1855, 0.7055)
O (0.4176, 0.7704, 0.3043)
O (0.4677, 0.1661, 0.3035)
Na (0.8324, 0.3301, 0.3337)
O (0.5693, 0.1836, 0.4080)
O (0.2807, 0.8507, 0.4661)
S (0.1814, 0.0109, 0.5742)
S (0.9960, 0.2775, 0.2449)
O (0.2114, 0.2868, 0.0388)
O (0.0213, 0.1909, 0.9110)
O (0.0751, 0.4481, 0.2449)

Question: total magnetic moment of number 1 (Na4CaSiGeP2O12)?
Answer: 0.00 μB/f.u.